Entry 1:
Y2Sb2O7: optimized geometry, PBE-GGA.

Values from the calculation:
ΔH_f (0 K), eV per atom: -2.81

The structure in CIF format:
```
data_Y2Sb2O7
_cell_length_a 7.5594
_cell_length_b 7.5594
_cell_length_c 18.5729
_cell_angle_alpha 90.00
_cell_angle_beta 90.00
_cell_angle_gamma 120.00
_space_group_name_H-M_alt 'P 31 2 1'
_space_group_IT_number 152
_space_group_name_Hall 'P 31 2"'
loop_
_atom_site_label
_atom_site_type_symbol
_atom_site_fract_x
_atom_site_fract_y
_atom_site_fract_z
Y1 Y 0.0000 0.8215 0.1667
Y2 Y 0.0000 0.8346 0.6667
Y3 Y 0.1811 0.6810 0.5113
Sb1 Sb 0.0000 0.2990 0.1667
Sb2 Sb 0.0000 0.3236 0.6667
Sb3 Sb 0.1640 0.6655 0.0007
O1 O 0.0059 0.8077 0.0276
O2 O 0.0069 0.3342 0.7891
O3 O 0.0179 0.8520 0.7845
O4 O 0.0568 0.4432 0.3062
O5 O 0.1060 0.6565 0.8938
O6 O 0.2034 0.6860 0.6399
O7 O 0.2264 0.6948 0.1062
```

***

Entry 2:
YSbO3: optimized geometry, PBE-GGA.

Values from the calculation:
ΔH_f (0 K), eV per atom: -2.60

The structure in CIF format:
```
data_YSbO3
_cell_length_a 6.0446
_cell_length_b 8.5593
_cell_length_c 5.7371
_cell_angle_alpha 90.00
_cell_angle_beta 90.00
_cell_angle_gamma 90.00
_space_group_name_H-M_alt 'P n m a'
_space_group_IT_number 62
_space_group_name_Hall '-P 2ac 2n'
loop_
_atom_site_label
_atom_site_type_symbol
_atom_site_fract_x
_atom_site_fract_y
_atom_site_fract_z
Y1 Y 0.0580 0.2500 0.0189
Sb1 Sb 0.0000 0.0000 0.5000
O1 O 0.0942 0.7500 0.3367
O2 O 0.1839 0.5810 0.8210
```

***

Entry 3:
YSbO3: optimized geometry, PBE-GGA.

Values from the calculation:
ΔH_f (0 K), eV per atom: -2.67

The structure in CIF format:
```
data_YSbO3
_cell_length_a 6.5233
_cell_length_b 6.5233
_cell_length_c 12.6534
_cell_angle_alpha 90.00
_cell_angle_beta 90.00
_cell_angle_gamma 120.00
_space_group_name_H-M_alt 'P 63 c m'
_space_group_IT_number 185
_space_group_name_Hall 'P 6c -2'
loop_
_atom_site_label
_atom_site_type_symbol
_atom_site_fract_x
_atom_site_fract_y
_atom_site_fract_z
Y1 Y 0.0000 0.0000 0.0000
Y2 Y 0.3333 0.6667 0.4680
Sb1 Sb 0.0000 0.3334 0.2324
O1 O 0.0000 0.0000 0.1989
O2 O 0.0000 0.3085 0.4083
O3 O 0.0000 0.3606 0.0577
O4 O 0.3333 0.6667 0.2606
```

***

Entry 4:
Y3SbO7: optimized geometry, PBE-GGA.

Values from the calculation:
ΔH_f (0 K), eV per atom: -3.40

The structure in CIF format:
```
data_Y3SbO7
_cell_length_a 7.4937
_cell_length_b 10.6044
_cell_length_c 7.5485
_cell_angle_alpha 90.00
_cell_angle_beta 90.00
_cell_angle_gamma 90.00
_space_group_name_H-M_alt 'C m c m'
_space_group_IT_number 63
_space_group_name_Hall '-C 2c 2'
loop_
_atom_site_label
_atom_site_type_symbol
_atom_site_fract_x
_atom_site_fract_y
_atom_site_fract_z
Y1 Y 0.0000 0.0000 0.0000
Y2 Y 0.2341 0.2657 0.2500
Sb1 Sb 0.0000 0.5000 0.0000
O1 O 0.0000 0.1304 0.7500
O2 O 0.0000 0.1368 0.2500
O3 O 0.0000 0.4302 0.2500
O4 O 0.1974 0.3754 0.5298
```

***

Entry 5:
ZnSb2O6: optimized geometry, PBE-GGA.

Values from the calculation:
ΔH_f (0 K), eV per atom: -1.77

The structure in CIF format:
```
data_ZnSb2O6
_cell_length_a 7.6282
_cell_length_b 5.3859
_cell_length_c 5.2553
_cell_angle_alpha 90.00
_cell_angle_beta 90.00
_cell_angle_gamma 90.00
_space_group_name_H-M_alt 'P m n 21'
_space_group_IT_number 31
_space_group_name_Hall 'P 2ac -2'
loop_
_atom_site_label
_atom_site_type_symbol
_atom_site_fract_x
_atom_site_fract_y
_atom_site_fract_z
Zn1 Zn 0.0000 0.1931 0.0000
Sb1 Sb 0.2503 0.2528 0.4904
O1 O 0.0000 0.2915 0.6234
O2 O 0.0000 0.8152 0.8875
O3 O 0.1850 0.4283 0.1625
O4 O 0.1890 0.9489 0.2965
```

***

Entry 6:
ZnSb3O7: optimized geometry, PBE-GGA.

Values from the calculation:
ΔH_f (0 K), eV per atom: -1.61

The structure in CIF format:
```
data_ZnSb3O7
_cell_length_a 10.5526
_cell_length_b 10.4714
_cell_length_c 5.5354
_cell_angle_alpha 90.00
_cell_angle_beta 90.00
_cell_angle_gamma 90.00
_space_group_name_H-M_alt 'P n m a'
_space_group_IT_number 62
_space_group_name_Hall '-P 2ac 2n'
loop_
_atom_site_label
_atom_site_type_symbol
_atom_site_fract_x
_atom_site_fract_y
_atom_site_fract_z
Zn1 Zn 0.1192 0.2500 0.1752
Sb1 Sb 0.1298 0.0137 0.6570
Sb2 Sb 0.1479 0.7500 0.2173
O1 O 0.0334 0.2500 0.8357
O2 O 0.0441 0.0925 0.3534
O3 O 0.2089 0.6165 0.9952
O4 O 0.2161 0.6310 0.4754
```

***

Entry 7:
Zn3Sb2O7: optimized geometry, PBE-GGA.

Values from the calculation:
ΔH_f (0 K), eV per atom: -1.68

The structure in CIF format:
```
data_Zn3Sb2O7
_cell_length_a 19.4433
_cell_length_b 5.5196
_cell_length_c 5.4572
_cell_angle_alpha 90.00
_cell_angle_beta 90.00
_cell_angle_gamma 90.00
_space_group_name_H-M_alt 'C m c 21'
_space_group_IT_number 36
_space_group_name_Hall 'C 2c -2'
loop_
_atom_site_label
_atom_site_type_symbol
_atom_site_fract_x
_atom_site_fract_y
_atom_site_fract_z
Zn1 Zn 0.0000 0.2437 0.0000
Zn2 Zn 0.2063 0.2877 0.9568
Sb1 Sb 0.1046 0.2416 0.4909
O1 O 0.0000 0.1074 0.3547
O2 O 0.0777 0.4227 0.8271
O3 O 0.1421 0.0890 0.1679
O4 O 0.2051 0.3636 0.5844
```

***

Entry 8:
Zr5Sb3O: optimized geometry, PBE-GGA.

Values from the calculation:
ΔH_f (0 K), eV per atom: -1.16

The structure in CIF format:
```
data_Zr5Sb3O
_cell_length_a 8.4357
_cell_length_b 8.4357
_cell_length_c 5.8173
_cell_angle_alpha 90.00
_cell_angle_beta 90.00
_cell_angle_gamma 120.00
_space_group_name_H-M_alt 'P 63/m c m'
_space_group_IT_number 193
_space_group_name_Hall '-P 6c 2'
loop_
_atom_site_label
_atom_site_type_symbol
_atom_site_fract_x
_atom_site_fract_y
_atom_site_fract_z
Zr1 Zr 0.0000 0.2301 0.2500
Zr2 Zr 0.3333 0.6667 0.0000
Sb1 Sb 0.0000 0.3992 0.7500
O1 O 0.0000 0.0000 0.0000
```

***

Entry 9:
Sc16O15: optimized geometry, PBE-GGA.

Values from the calculation:
ΔH_f (0 K), eV per atom: -3.15

The structure in CIF format:
```
data_Sc16O15
_cell_length_a 6.3391
_cell_length_b 6.3391
_cell_length_c 31.1284
_cell_angle_alpha 90.00
_cell_angle_beta 90.00
_cell_angle_gamma 120.00
_space_group_name_H-M_alt 'R -3 m'
_space_group_IT_number 166
_space_group_name_Hall '-R 3 2"'
loop_
_atom_site_label
_atom_site_type_symbol
_atom_site_fract_x
_atom_site_fract_y
_atom_site_fract_z
Sc1 Sc 0.0000 0.0000 0.1246
Sc2 Sc 0.0000 0.0000 0.3748
Sc3 Sc 0.0006 0.5003 0.1247
Sc4 Sc 0.0032 0.5016 0.3753
O1 O 0.0000 0.0000 0.2496
O2 O 0.0000 0.0000 0.5000
O3 O 0.0000 0.5000 0.0000
O4 O 0.0000 0.5000 0.5000
O5 O 0.0013 0.5007 0.2497
```

***

Entry 10:
ScO3: optimized geometry, PBE-GGA.

Values from the calculation:
ΔH_f (0 K), eV per atom: -1.79

The structure in CIF format:
```
data_ScO3
_cell_length_a 4.3679
_cell_length_b 4.3679
_cell_length_c 4.5515
_cell_angle_alpha 90.00
_cell_angle_beta 90.00
_cell_angle_gamma 120.00
_space_group_name_H-M_alt 'P 63/m m c'
_space_group_IT_number 194
_space_group_name_Hall '-P 6c 2c'
loop_
_atom_site_label
_atom_site_type_symbol
_atom_site_fract_x
_atom_site_fract_y
_atom_site_fract_z
Sc1 Sc 0.3333 0.6667 0.2500
O1 O 0.1740 0.3479 0.7500
```

***

Entry 11:
Sc20O19: optimized geometry, PBE-GGA.

Values from the calculation:
ΔH_f (0 K), eV per atom: -3.16

The structure in CIF format:
```
data_Sc20O19
_cell_length_a 10.0203
_cell_length_b 10.0203
_cell_length_c 8.9580
_cell_angle_alpha 90.00
_cell_angle_beta 90.00
_cell_angle_gamma 90.00
_space_group_name_H-M_alt 'I 4/m'
_space_group_IT_number 87
_space_group_name_Hall '-I 4'
loop_
_atom_site_label
_atom_site_type_symbol
_atom_site_fract_x
_atom_site_fract_y
_atom_site_fract_z
Sc1 Sc 0.0000 0.0000 0.2496
Sc2 Sc 0.0000 0.5000 0.0000
Sc3 Sc 0.1002 0.7036 0.2491
Sc4 Sc 0.1010 0.1990 0.5000
Sc5 Sc 0.1007 0.2001 0.0000
O1 O 0.0000 0.0000 0.5000
O2 O 0.0000 0.5000 0.2500
O3 O 0.0991 0.2023 0.2514
O4 O 0.0991 0.6966 0.0000
O5 O 0.0991 0.7010 0.5000
```

***

Entry 12:
ScO: optimized geometry, PBE-GGA.

Values from the calculation:
ΔH_f (0 K), eV per atom: -3.24

The structure in CIF format:
```
data_ScO
_cell_length_a 4.4798
_cell_length_b 4.4798
_cell_length_c 4.4798
_cell_angle_alpha 90.00
_cell_angle_beta 90.00
_cell_angle_gamma 90.00
_space_group_name_H-M_alt 'F m -3 m'
_space_group_IT_number 225
_space_group_name_Hall '-F 4 2 3'
loop_
_atom_site_label
_atom_site_type_symbol
_atom_site_fract_x
_atom_site_fract_y
_atom_site_fract_z
Sc1 Sc 0.0000 0.0000 0.0000
O1 O 0.0000 0.0000 0.5000
```